AgBF4: optimized geometry, r²SCAN.

Summary:
The formation energy is -2.47 eV per atom.

Unit cell a=5.241 b=6.686 c=8.001 alpha=90.00 beta=90.00 gamma=90.00
Fractional coordinates of all 24 atoms:
F 0.750 0.051 0.300
F 0.750 0.416 0.087
B 0.750 0.315 0.934
F 0.750 0.084 0.587
F 0.531 0.191 0.923
F 0.250 0.551 0.200
F 0.469 0.809 0.077
B 0.750 0.185 0.434
F 0.031 0.691 0.577
F 0.969 0.191 0.923
B 0.250 0.685 0.066
Ag 0.250 0.167 0.179
F 0.250 0.584 0.913
F 0.969 0.309 0.423
Ag 0.750 0.667 0.321
F 0.750 0.449 0.800
F 0.031 0.809 0.077
F 0.469 0.691 0.577
F 0.531 0.309 0.423
F 0.250 0.949 0.700
Ag 0.750 0.833 0.821
F 0.250 0.916 0.413
B 0.250 0.815 0.566
Ag 0.250 0.333 0.679